(1)
A relaxed structure of SrGaBO4, computed with PBE-GGA.

Summary:
SG = Pbam (55)
distance to the lowest polymorph of the same formula = 2 meV per atom

```
SrGaBO4
1.0
-1.236 2.018 -5.497
-0.213 -8.581 -3.103
-15.229 -0.759 3.145
Sr Ga B O
8 8 8 32
direct
0.000 0.714 0.479
0.000 0.214 0.021
0.000 0.286 0.521
0.500 0.927 0.121
0.000 0.786 0.979
0.500 0.073 0.879
0.500 0.427 0.379
0.500 0.573 0.621
0.248 0.536 0.153
0.248 0.464 0.847
0.752 0.536 0.153
0.248 0.036 0.347
0.752 0.036 0.347
0.248 0.964 0.653
0.752 0.464 0.847
0.752 0.964 0.653
0.500 0.793 0.425
0.000 0.481 0.313
0.500 0.207 0.575
0.000 0.019 0.813
0.000 0.519 0.687
0.000 0.981 0.187
0.500 0.707 0.925
0.500 0.293 0.075
0.500 0.154 0.354
0.000 0.622 0.108
0.000 0.030 0.901
0.797 0.016 0.769
0.797 0.984 0.231
0.701 0.358 0.098
0.701 0.642 0.902
0.000 0.878 0.608
0.797 0.516 0.731
0.203 0.016 0.769
0.000 0.970 0.099
0.299 0.642 0.902
0.299 0.858 0.402
0.500 0.346 0.854
0.203 0.984 0.231
0.797 0.484 0.269
0.000 0.470 0.401
0.500 0.339 0.533
0.701 0.142 0.598
0.701 0.858 0.402
0.500 0.161 0.033
0.000 0.530 0.599
0.500 0.661 0.467
0.299 0.142 0.598
0.203 0.484 0.269
0.000 0.122 0.392
0.000 0.378 0.892
0.500 0.846 0.646
0.500 0.654 0.146
0.500 0.839 0.967
0.299 0.358 0.098
0.203 0.516 0.731
```

(2)
A relaxed structure of SrGa2B2O7, computed with PBE-GGA.

Summary:
SG = Cmcm (63)
final energy = -7.014 eV/atom

```
SrGa2B2O7
1.0
4.219 -5.925 0.000
4.219 5.925 0.000
0.000 0.000 5.801
Sr Ga B O
2 4 4 14
direct
0.183 0.183 0.750
0.817 0.817 0.250
0.875 0.293 0.250
0.707 0.125 0.750
0.293 0.875 0.250
0.125 0.707 0.750
0.705 0.487 0.750
0.487 0.705 0.750
0.513 0.295 0.250
0.295 0.513 0.250
0.661 0.661 0.750
0.871 0.129 0.000
0.695 0.435 0.250
0.339 0.339 0.250
0.129 0.871 0.000
0.498 0.895 0.750
0.895 0.498 0.750
0.105 0.502 0.250
0.305 0.565 0.750
0.435 0.695 0.250
0.502 0.105 0.250
0.871 0.129 0.500
0.129 0.871 0.500
0.565 0.305 0.750
```

(3)
A relaxed structure of TbGa3B4O12, computed with PBE-GGA.

Summary:
SG = R32 (155)
final energy = -7.364 eV/atom

```
TbGa3B4O12
1.0
3.733 -4.779 0.000
3.733 4.779 0.000
-2.385 0.000 5.575
Tb Ga B O
1 3 4 12
direct
0.500 0.500 0.500
0.048 0.952 0.500
0.952 0.500 0.048
0.500 0.048 0.952
0.450 0.550 0.000
0.550 0.000 0.450
0.000 0.450 0.550
0.000 0.000 0.000
0.292 0.525 0.130
0.525 0.130 0.292
0.708 0.870 0.475
0.130 0.292 0.525
0.475 0.708 0.870
0.870 0.475 0.708
0.855 0.145 0.000
0.145 0.000 0.855
0.000 0.855 0.145
0.594 0.406 0.000
0.406 0.000 0.594
0.000 0.594 0.406
```

(4)
A relaxed structure of YGa3B4O12, computed with PBE-GGA.

Summary:
SG = R32 (155)
final energy = -7.450 eV/atom

```
YGa3B4O12
1.0
3.729 -4.781 0.000
3.729 4.781 0.000
-2.401 0.000 5.567
Y Ga B O
1 3 4 12
direct
0.500 0.500 0.500
0.046 0.954 0.500
0.954 0.500 0.046
0.500 0.046 0.954
0.452 0.548 0.000
0.548 0.000 0.452
0.000 0.452 0.548
0.000 0.000 0.000
0.294 0.524 0.130
0.524 0.130 0.294
0.706 0.870 0.476
0.130 0.294 0.524
0.476 0.706 0.870
0.870 0.476 0.706
0.855 0.145 0.000
0.145 0.000 0.855
0.000 0.855 0.145
0.596 0.404 0.000
0.404 0.000 0.596
0.000 0.596 0.404
```

(5)
A relaxed structure of Sc2GaB2Rh5, computed with PBE-GGA.

Summary:
SG = P4/mbm (127)
final energy = -7.478 eV/atom

```
Sc2GaB2Rh5
1.0
-6.949 -5.395 3.160
5.940 -4.223 5.852
-0.643 2.096 2.165
Sc Ga B Rh
4 2 4 10
direct
0.825 0.325 0.000
0.325 0.175 0.000
0.675 0.825 0.000
0.175 0.675 0.000
0.000 0.000 0.000
0.500 0.500 0.000
0.625 0.125 0.000
0.125 0.375 0.000
0.875 0.625 0.000
0.375 0.875 0.000
0.071 0.217 0.500
0.217 0.929 0.500
0.783 0.071 0.500
0.929 0.783 0.500
0.429 0.717 0.500
0.571 0.283 0.500
0.717 0.571 0.500
0.283 0.429 0.500
0.500 0.000 0.500
0.000 0.500 0.500
```

(6)
A relaxed structure of Ta5Ga3B, computed with PBE-GGA.

Summary:
SG = P6_3/mcm (193)
final energy = -8.760 eV/atom

```
Ta5Ga3B
1.0
3.893 -6.743 0.000
3.893 6.743 0.000
0.000 0.000 5.352
Ta Ga B
10 6 2
direct
0.243 0.000 0.250
0.757 0.000 0.750
0.000 0.243 0.250
0.000 0.757 0.750
0.757 0.757 0.250
0.243 0.243 0.750
0.333 0.667 0.000
0.667 0.333 0.000
0.667 0.333 0.500
0.333 0.667 0.500
0.599 0.000 0.250
0.401 0.000 0.750
0.000 0.599 0.250
0.000 0.401 0.750
0.401 0.401 0.250
0.599 0.599 0.750
0.000 0.000 0.000
0.000 0.000 0.500
```

(7)
A relaxed structure of GdB2, computed with PBE-GGA.

Summary:
SG = P6/mmm (191)
final energy = -9.622 eV/atom

```
GdB2
1.0
1.573 0.720 -2.813
1.331 -2.139 2.135
-1.873 -2.967 -1.806
Gd B
1 2
direct
0.000 0.000 0.000
0.333 0.667 0.500
0.667 0.333 0.500
```

(8)
A relaxed structure of Gd2B5, computed with PBE-GGA.

Summary:
SG = P2_1/c (14)
final energy = -9.377 eV/atom

```
Gd2B5
1.0
-5.114 1.642 -4.719
-4.996 -1.594 4.860
-1.029 6.288 3.304
Gd B
8 20
direct
0.316 0.759 0.256
0.816 0.241 0.244
0.684 0.241 0.744
0.184 0.759 0.756
0.691 0.767 0.628
0.191 0.233 0.872
0.309 0.233 0.372
0.809 0.767 0.128
0.502 0.315 0.039
0.002 0.685 0.461
0.498 0.685 0.961
0.998 0.315 0.539
0.492 0.923 0.929
0.992 0.077 0.571
0.508 0.077 0.071
0.008 0.923 0.429
0.327 0.497 0.040
0.827 0.503 0.460
0.673 0.503 0.960
0.173 0.497 0.540
0.910 0.500 0.910
0.410 0.500 0.590
0.090 0.500 0.090
0.590 0.500 0.410
0.961 0.497 0.674
0.461 0.503 0.826
0.039 0.503 0.326
0.539 0.497 0.174
```

Asked for density across the records above, the calculation gives 3.63; 4.13; 5.04; 4.46; 8.58; 13.29; 7.97; 6.84 Mg/m³ in order.